1.
The following is a GGA-PBE calculation of CaCdSn after structural relaxation, from the Materials Project database.

Structure (POSCAR):
```
CaCdSn
1.0
-0.9616 7.2071 2.6158
-0.7169 -1.4991 -7.5464
-4.6115 -0.8344 0.6038
Ca Cd Sn
3 3 3
Direct
0.0000 0.5776 0.5000 Ca
0.5776 0.0000 0.5000 Ca
0.4224 0.4224 0.5000 Ca
0.2531 0.0000 0.0000 Cd
0.7469 0.7469 0.0000 Cd
0.0000 0.2531 0.0000 Cd
0.0000 0.0000 0.5000 Sn
0.6667 0.3333 0.0000 Sn
0.3333 0.6667 0.0000 Sn
```

Calculated values
calculated total energy: -2.812 eV per atom



2.
The following is a GGA-PBE calculation of CaTmCd2 after structural relaxation, from the Materials Project database.

Structure (POSCAR):
```
CaTmCd2
1.0
0.1944 -4.3126 3.1052
-3.5811 -3.8828 -0.6149
1.4789 -4.6821 -2.0418
Ca Tm Cd
1 1 2
Direct
0.5000 0.5000 0.5000 Ca
0.0000 0.0000 0.0000 Tm
0.7500 0.7500 0.7500 Cd
0.2500 0.2500 0.2500 Cd
```

Calculated values
calculated total energy: -2.406 eV per atom



3.
The following is a GGA-PBE calculation of Ca2ZnCd after structural relaxation, from the Materials Project database.

Structure (POSCAR):
```
Ca2ZnCd
1.0
-2.0531 -3.2538 -3.6916
-5.1276 0.4462 -1.3922
-1.3014 1.9058 -4.8067
Ca Zn Cd
2 1 1
Direct
0.7500 0.7500 0.7500 Ca
0.2500 0.2500 0.2500 Ca
0.0000 0.0000 0.0000 Zn
0.5000 0.5000 0.5000 Cd
```

Calculated values
calculated total energy: -1.837 eV per atom



4.
The following is a GGA-PBE calculation of SrCaCeGeO6 after structural relaxation, from the Materials Project database.

Structure (POSCAR):
```
SrCaCeGeO6
1.0
4.6864 3.1617 -1.3162
2.4876 -0.5312 -5.2173
-0.4016 4.3165 -3.8597
Sr Ca Ce Ge O
1 1 1 1 6
Direct
0.2500 0.2500 0.2500 Sr
0.7500 0.7500 0.7500 Ca
0.0000 0.0000 0.0000 Ce
0.5000 0.5000 0.5000 Ge
0.7325 0.2675 0.2675 O
0.2675 0.7325 0.7325 O
0.7325 0.2675 0.7325 O
0.2675 0.7325 0.2675 O
0.7325 0.7325 0.2675 O
0.2675 0.2675 0.7325 O
```

Calculated values
calculated total energy: -7.026 eV per atom
magnetization: 0.000 μB per formula unit



5.
The following is a GGA-PBE calculation of KCaCeNbO6 after structural relaxation, from the Materials Project database.

Structure (POSCAR):
```
KCaCeNbO6
1.0
0.0000 -4.2365 -4.2365
4.2365 0.0000 -4.2365
4.2365 -4.2365 0.0000
K Ca Ce Nb O
1 1 1 1 6
Direct
0.7500 0.7500 0.7500 K
0.2500 0.2500 0.2500 Ca
0.0000 0.0000 0.0000 Ce
0.5000 0.5000 0.5000 Nb
0.7374 0.2626 0.2626 O
0.2626 0.7374 0.7374 O
0.7374 0.2626 0.7374 O
0.2626 0.7374 0.2626 O
0.7374 0.7374 0.2626 O
0.2626 0.2626 0.7374 O
```

Calculated values
calculated total energy: -7.598 eV per atom
magnetization: 0.000 μB per formula unit



6.
The following is a GGA-PBE calculation of CaCeMg6 after structural relaxation, from the Materials Project database.

Structure (POSCAR):
```
CaCeMg6
1.0
5.2701 0.1655 4.1995
-5.9389 0.2182 3.1809
-0.0498 -5.3296 0.2726
Ca Ce Mg
1 1 6
Direct
0.6569 0.3431 0.0000 Ca
0.1503 0.8497 0.0000 Ce
0.6544 0.8254 0.0000 Mg
0.1746 0.3456 0.0000 Mg
0.8354 0.6750 0.5000 Mg
0.3250 0.1646 0.5000 Mg
0.8559 0.1441 0.5000 Mg
0.3475 0.6525 0.5000 Mg
```

Calculated values
calculated total energy: -2.108 eV per atom
magnetization: 1.128 μB per formula unit
energy above the most stable polymorph in this dataset: 0.0 kJ/mol of atoms



7.
The following is a GGA-PBE calculation of CaCeMg6 after structural relaxation, from the Materials Project database.

Structure (POSCAR):
```
CaCeMg6
1.0
-2.6284 5.6866 1.9858
1.8951 -0.4667 -6.2753
-4.8490 -1.7760 -1.3323
Ca Ce Mg
1 1 6
Direct
0.8432 0.1568 0.0000 Ca
0.6550 0.3450 0.5000 Ce
0.8356 0.6659 0.0000 Mg
0.3341 0.1644 0.0000 Mg
0.3367 0.6633 0.0000 Mg
0.6681 0.8329 0.5000 Mg
0.1671 0.3319 0.5000 Mg
0.1603 0.8397 0.5000 Mg
```

Calculated values
calculated total energy: -2.101 eV per atom
magnetization: 1.375 μB per formula unit
energy above the most stable polymorph in this dataset: 0.7 kJ/mol of atoms



8.
The following is a GGA-PBE calculation of CaCeN2 after structural relaxation, from the Materials Project database.

Structure (POSCAR):
```
CaCeN2
1.0
3.6032 0.0000 0.0000
0.0000 3.6032 0.0000
0.0000 0.0000 4.8030
Ca Ce N
1 1 2
Direct
0.0000 0.0000 0.0000 Ca
0.5000 0.5000 0.5000 Ce
0.0000 0.0000 0.5000 N
0.5000 0.5000 0.0000 N
```

Calculated values
calculated total energy: -7.377 eV per atom